Entry 1:
The following is a GGA+U calculation of a relaxed MgV12Zn6O24 crystal, from the Materials Project.

Unit cell a=6.1721 b=6.1543 c=18.5489 alpha=60.27 beta=60.09 gamma=59.98
Closest atoms and distances in Å follow each position.
Positions (direct):
O 0.7383 0.2748 0.0784  2 V 1.96-2.03, 2 Zn 1.99-2.17
O 0.2538 0.2466 0.4282  3 V 1.97-2.10, 1 Zn 2.05
O 0.2660 0.7197 0.7533  1 Zn 2.03, 3 V 2.04-2.09
O 0.7606 0.7503 0.9043  3 V 1.99-2.13, 1 Zn 2.12
O 0.7161 0.2584 0.7517  1 Zn 2.04, 3 V 2.05-2.09
O 0.7385 0.7351 0.4363  3 V 2.04-2.13, 1 Zn 2.10
O 0.7290 0.2649 0.2532  1 Mg 1.86, 1 Zn 2.00
O 0.2544 0.2531 0.2476  1 Zn 1.98, 3 V 2.00-2.03
O 0.7556 0.2731 0.9016  3 V 1.98-2.10, 1 Zn 2.19
O 0.2784 0.7343 0.5832  1 Zn 2.05, 3 V 2.05-2.07
O 0.7178 0.7152 0.2693  1 Mg 1.84, 1 Zn 1.97
O 0.2524 0.2506 0.5768  1 Zn 2.02, 3 V 2.05-2.13
O 0.7524 0.7526 0.0820  1 Mg 1.89, 1 V 1.95
O 0.2723 0.7666 0.9023  3 V 1.99-2.10, 1 Zn 2.18
O 0.2492 0.7083 0.4323  3 V 2.02-2.07, 1 Zn 2.08
O 0.7389 0.7433 0.7599  1 Zn 2.02, 3 V 2.06-2.10
O 0.7142 0.2444 0.4325  3 V 2.01-2.07, 1 Zn 2.07
O 0.2556 0.2749 0.7496  1 Zn 2.04, 3 V 2.04-2.12
O 0.2739 0.7400 0.0782  2 V 1.95-2.03, 2 Zn 1.99-2.16
O 0.2640 0.2648 0.8995  3 V 2.04-2.08, 1 Zn 2.06
O 0.2784 0.2810 0.0665  2 Zn 1.95-2.04, 2 V 2.02
O 0.2657 0.7265 0.2511  1 Mg 1.85, 1 Zn 2.00
O 0.7370 0.2775 0.5823  1 Zn 2.04, 3 V 2.04-2.09
O 0.7320 0.7304 0.5866  1 Zn 2.03, 3 V 2.04-2.08
Mg 0.6320 0.6327 0.2062  4 O 1.84-1.89
Zn 0.5127 0.5145 0.9885  6 O 2.04-2.19
Zn 0.8724 0.8727 0.6266  4 O 2.02-2.05
Zn 0.8693 0.8673 0.2979  4 O 1.97-2.10
Zn 0.1215 0.1231 0.7099  4 O 2.02-2.04
Zn 0.1330 0.1351 0.0350  4 O 1.95-2.06
Zn 0.1246 0.1195 0.3783  4 O 1.98-2.08
V 0.4756 0.0760 0.1535  3 O 2.02-2.03, 1 Mg 2.23
V 0.5020 0.5020 0.8301  6 O 2.04-2.10
V 0.8787 0.8800 0.9535  4 O 1.95-1.99
V 0.4805 0.4716 0.3569  4 O 1.97-2.11
V 0.0747 0.4764 0.1546  3 O 2.02-2.03, 1 Mg 2.23
V 0.0046 0.5046 0.8293  6 O 2.04-2.10
V 0.4999 0.0071 0.8293  6 O 2.04-2.13
V 0.4958 0.4926 0.5074  6 O 2.04-2.13
V 0.4961 0.9894 0.5072  6 O 2.04-2.10
V 0.9928 0.4921 0.5070  6 O 2.04-2.10
V 0.4776 0.4818 0.1578  3 O 1.95-2.00
V 0.4971 0.5000 0.6679  6 O 2.04-2.09

Calculated values
* E_form: -2.0870 eV/atom
* crystal system: triclinic
* energy above the lowest structure with this stoichiometry: 187 meV/atom

=====

Entry 2:
The following is a GGA+U calculation of a relaxed Fe3P2O8 crystal, from the Materials Project.

Unit cell a=11.3475 b=6.2668 c=9.0077 alpha=80.19 beta=90.00 gamma=90.00
Closest atoms and distances in Å follow each position.
Positions (direct):
Fe 0.8060 0.8822 0.3632  5 O 2.03-2.27
Fe 0.8835 0.1239 0.9255  4 O 2.02-2.18
Fe 0.3835 0.3761 0.0745  4 O 2.02-2.18
Fe 0.1165 0.8761 0.0745  4 O 2.02-2.18
Fe 0.6940 0.3822 0.3632  5 O 2.03-2.27
Fe 0.9175 0.6650 0.7254  3 O 1.98-2.07
Fe 0.4175 0.8350 0.2746  3 O 1.98-2.07
Fe 0.6165 0.6239 0.9255  4 O 2.02-2.18
Fe 0.0825 0.3350 0.2746  3 O 1.98-2.07
Fe 0.3060 0.6178 0.6368  5 O 2.03-2.27
Fe 0.5825 0.1650 0.7254  3 O 1.98-2.07
Fe 0.1940 0.1178 0.6368  5 O 2.03-2.27
P 0.5872 0.6925 0.6034  4 O 1.54-1.56
P 0.1351 0.3886 0.9049  4 O 1.53-1.57
P 0.0872 0.8075 0.3966  4 O 1.54-1.56
P 0.6351 0.1114 0.0951  4 O 1.53-1.57
P 0.9128 0.1925 0.6034  4 O 1.54-1.56
P 0.4128 0.3075 0.3966  4 O 1.54-1.56
P 0.8649 0.6114 0.0951  4 O 1.53-1.57
P 0.3649 0.8886 0.9049  4 O 1.53-1.57
O 0.9622 0.7646 0.4674  1 P 1.56
O 0.3760 0.1330 0.3018  1 P 1.56
O 0.5625 0.3270 0.0737  1 P 1.57
O 0.5875 0.4815 0.7244  1 P 1.56
O 0.7938 0.6087 0.9465  1 P 1.56
O 0.4622 0.7354 0.5326  1 P 1.56
O 0.7216 0.1281 0.2280  1 P 1.56
O 0.7062 0.1087 0.9465  1 P 1.56
O 0.5612 0.9057 0.1326  1 P 1.53
O 0.4125 0.5185 0.2756  1 P 1.56
O 0.9388 0.4057 0.1326  1 P 1.53
O 0.9125 0.9815 0.7244  1 P 1.56
O 0.2938 0.8913 0.0535  1 P 1.56
O 0.3209 0.3263 0.5196  1 P 1.54
O 0.6791 0.6737 0.4804  1 P 1.54
O 0.6240 0.8670 0.6982  1 P 1.56
O 0.4375 0.6730 0.9263  1 P 1.57
O 0.0612 0.5943 0.8674  1 P 1.53
O 0.5378 0.2646 0.4674  1 P 1.56
O 0.2062 0.3913 0.0535  1 P 1.56
O 0.0875 0.0185 0.2756  1 P 1.56
O 0.8209 0.1737 0.4804  1 P 1.54
O 0.0625 0.1730 0.9263  1 P 1.57
O 0.7784 0.6281 0.2280  1 P 1.56
O 0.4388 0.0943 0.8674  1 P 1.53
O 0.1791 0.8263 0.5196  1 P 1.54
O 0.8760 0.3670 0.6982  1 P 1.56
O 0.0378 0.2354 0.5326  1 P 1.56
O 0.1240 0.6330 0.3018  1 P 1.56
O 0.2216 0.3719 0.7720  1 P 1.56
O 0.2784 0.8719 0.7720  1 P 1.56
O 0.9375 0.8270 0.0737  1 P 1.57

Calculated values
* E_form: -2.2780 eV/atom
* crystal system: monoclinic
* energy above the lowest structure with this stoichiometry: 18 meV/atom

=====

Entry 3:
The following is a GGA+U calculation of a relaxed Li17Cr6Si12O42 crystal, from the Materials Project.

Unit cell a=8.6020 b=8.6073 c=13.0572 alpha=90.06 beta=89.98 gamma=59.99
Closest atoms and distances in Å follow each position.
Positions (direct):
Li 0.3026 0.0222 0.0690  3 O 1.91-2.02
Li 0.6911 0.9784 0.5664  3 O 1.93-2.00
Li 0.3290 0.6988 0.9003  4 O 1.93-2.14
Li 0.9988 0.0064 0.9528  3 O 2.06-2.09
Li 0.6751 0.2990 0.0675  3 O 1.92-2.04
Li 0.0257 0.6706 0.0680  3 O 1.92-2.02
Li 0.3290 0.6934 0.5656  3 O 1.93-2.01
Li 0.6671 0.3033 0.3993  3 O 1.88-2.03
Li 0.9765 0.3335 0.5674  3 O 1.93-2.00
Li 0.6974 0.9719 0.9000  3 O 1.93-2.07
Li 0.6685 0.6648 0.7327  6 O 2.27-2.35
Li 0.0298 0.6644 0.3988  3 O 1.88-2.02
Li 0.3060 0.0260 0.3983  3 O 1.88-2.02
Li 0.6673 0.6643 0.2761  3 O 1.95
Li 0.3329 0.3345 0.7101  3 O 1.89-1.90
Li 0.9722 0.3342 0.8978  4 O 1.92-2.15
Li 0.9990 0.0032 0.4537  3 O 2.08-2.12
Si 0.6399 0.3298 0.8467  4 O 1.63-1.67
Si 0.0300 0.6424 0.8468  4 O 1.63-1.67
Si 0.3293 0.0316 0.8467  4 O 1.63-1.67
Si 0.3556 0.6696 0.3467  4 O 1.61-1.68
Si 0.6473 0.3282 0.6212  4 O 1.63-1.68
Si 0.0239 0.6499 0.6215  4 O 1.64-1.69
Si 0.9716 0.3537 0.1203  4 O 1.64-1.67
Si 0.3567 0.6706 0.1205  4 O 1.63-1.67
Si 0.3262 0.0264 0.6210  4 O 1.63-1.68
Si 0.6726 0.9712 0.3472  4 O 1.61-1.69
Si 0.6731 0.9688 0.1205  4 O 1.63-1.67
Si 0.9745 0.3525 0.3470  4 O 1.61-1.69
O 0.5678 0.2425 0.5386  1 Si 1.64
O 0.7957 0.0645 0.1278  1 Si 1.63
O 0.1385 0.7921 0.1284  1 Si 1.63
O 0.1874 0.5697 0.5376  1 Si 1.64
O 0.4313 0.7583 0.0355  1 Si 1.64
O 0.8038 0.4348 0.4280  1 Si 1.65
O 0.2448 0.1993 0.9300  1 Si 1.66
O 0.8760 0.4389 0.2333  2 Si 1.67-1.69
O 0.5403 0.8821 0.8623  1 Si 1.63
O 0.6798 0.8751 0.2334  2 Si 1.67-1.69
O 0.5599 0.2440 0.9308  1 Si 1.65
O 0.7606 0.8065 0.0355  1 Si 1.64
O 0.1988 0.9440 0.8460  1 Si 1.64
O 0.5782 0.5415 0.6059  1 Si 1.63
O 0.9261 0.8690 0.6283  1 Si 1.64
O 0.0660 0.1352 0.1259  1 Si 1.64
O 0.3098 0.1296 0.7335  2 Si 1.67-1.68
O 0.1944 0.5590 0.9318  1 Si 1.65
O 0.7632 0.7985 0.4264  1 Si 1.65
O 0.8588 0.2021 0.8446  1 Si 1.64
O 0.8795 0.5809 0.8598  1 Si 1.63
O 0.4443 0.6771 0.2330  2 Si 1.67-1.68
O 0.5390 0.8815 0.6045  1 Si 1.63
O 0.8107 0.4302 0.0342  1 Si 1.64
O 0.4385 0.7597 0.4260  1 Si 1.65
O 0.8009 0.0614 0.3434  1 Si 1.64
O 0.1371 0.7987 0.3432  1 Si 1.64
O 0.2400 0.1923 0.5391  1 Si 1.64
O 0.4652 0.1108 0.3726  1 Si 1.61
O 0.5618 0.3092 0.7334  2 Si 1.67-1.68
O 0.1297 0.5644 0.7335  2 Si 1.67-1.69
O 0.2048 0.9287 0.6279  1 Si 1.64
O 0.9420 0.8608 0.8459  1 Si 1.64
O 0.4227 0.4596 0.0932  1 Si 1.65
O 0.0646 0.1340 0.3430  1 Si 1.64
O 0.8781 0.5822 0.6074  1 Si 1.64
O 0.1148 0.4205 0.3695  1 Si 1.61
O 0.4235 0.4623 0.3712  1 Si 1.61
O 0.1182 0.4186 0.0956  1 Si 1.65
O 0.5764 0.5417 0.8614  1 Si 1.63
O 0.4623 0.1145 0.0935  1 Si 1.65
O 0.8666 0.2075 0.6278  1 Si 1.64
Cr 0.0006 0.9972 0.2306  6 O 2.05-2.12
Cr 0.6664 0.6664 0.9566  6 O 2.03-2.05
Cr 0.3330 0.3329 0.4553  6 O 1.98-2.08
Cr 0.3337 0.3319 0.0150  6 O 1.92-2.02
Cr 0.6667 0.6665 0.5110  6 O 2.02-2.05
Cr 0.9990 0.0020 0.7288  6 O 2.03-2.16

Calculated values
* E_form: -2.7633 eV/atom
* crystal system: triclinic

=====

Entry 4:
The following is a GGA+U calculation of a relaxed SrLaNiO4 crystal, from the Materials Project.

Unit cell a=6.8539 b=6.8539 c=5.4585 alpha=90.00 beta=90.00 gamma=133.20
Closest atoms and distances in Å follow each position.
Positions (direct):
O 0.5883 0.4117 0.7500  1 Ni 2.03
O 0.0000 0.5000 0.0000  2 Ni 1.93
O 0.9236 0.0764 0.7500  1 Ni 2.19, 1 La 2.38
O 0.5000 0.0000 0.0000  2 Ni 1.93
O 0.0764 0.9236 0.2500  1 Ni 2.19, 1 La 2.38
O 0.5000 0.0000 0.5000  2 Ni 1.93
O 0.0000 0.5000 0.5000  2 Ni 1.93
O 0.4117 0.5883 0.2500  1 Ni 2.03
La 0.8869 0.1131 0.2500  5 O 2.38-2.58
La 0.1131 0.8869 0.7500  5 O 2.38-2.58
Sr 0.3928 0.6072 0.7500  9 O 2.46-2.75
Sr 0.6072 0.3928 0.2500  9 O 2.46-2.75
Ni 0.2507 0.7493 0.2500  5 O 1.93-2.03
Ni 0.7493 0.2507 0.7500  5 O 1.93-2.03

Calculated values
* E_form: -2.6626 eV/atom
* crystal system: orthorhombic
* energy above the lowest structure with this stoichiometry: 6 meV/atom

=====

Entry 5:
The following is a GGA+U calculation of a relaxed Cs2Mo5O16 crystal, from the Materials Project.

Unit cell a=11.4532 b=11.4532 c=14.7476 alpha=58.77 beta=58.77 gamma=28.89
Closest atoms and distances in Å follow each position.
Positions (direct):
Mo 0.3897 0.7313 0.8949  3 O 1.74-1.89
Mo 0.8879 0.3265 0.0378  3 O 1.73-1.93
Mo 0.1121 0.6735 0.9622  3 O 1.73-1.93
Mo 0.7313 0.3897 0.3949  3 O 1.74-1.89
Mo 0.8754 0.1246 0.7500  2 O 1.75
Mo 0.1246 0.8754 0.2500  2 O 1.75
Mo 0.3265 0.8879 0.5378  3 O 1.73-1.93
Mo 0.2687 0.6103 0.6051  3 O 1.74-1.89
Mo 0.6103 0.2687 0.1051  3 O 1.74-1.89
Mo 0.6735 0.1121 0.4622  3 O 1.73-1.93
O 0.0690 0.1252 0.6341  2 Mo 1.93-1.98
O 0.9629 0.6637 0.0835  1 Mo 1.76
O 0.4552 0.6551 0.4835  2 Mo 1.99-2.01
O 0.2830 0.6589 0.1873  1 Mo 1.75
O 0.1738 0.8076 0.6586  1 Mo 1.89
O 0.0371 0.3363 0.9165  1 Mo 1.76
O 0.3449 0.5448 0.0165  2 Mo 1.99-2.01
O 0.7170 0.3411 0.8127  1 Mo 1.75
O 0.5448 0.3449 0.5165  2 Mo 1.99-2.01
O 0.5849 0.6832 0.5832  1 Mo 1.73
O 0.9310 0.8748 0.3659  2 Mo 1.93-1.98
O 0.8262 0.1924 0.3414  1 Mo 1.89
O 0.6832 0.5849 0.0832  1 Mo 1.73
O 0.5197 0.7740 0.7841  1 Mo 1.75
O 0.0304 0.8263 0.5367  1 Mo 1.74
O 0.2260 0.4803 0.7159  1 Mo 1.75
O 0.9696 0.1737 0.4633  1 Mo 1.74
O 0.1737 0.9696 0.9633  1 Mo 1.74
O 0.1924 0.8262 0.8414  1 Mo 1.89
O 0.3168 0.4151 0.9168  1 Mo 1.73
O 0.6637 0.9629 0.5835  1 Mo 1.76
O 0.8076 0.1738 0.1586  1 Mo 1.89
O 0.3363 0.0371 0.4165  1 Mo 1.76
O 0.6589 0.2830 0.6873  1 Mo 1.75
O 0.8263 0.0304 0.0367  1 Mo 1.74
O 0.4151 0.3168 0.4168  1 Mo 1.73
O 0.6551 0.4552 0.9835  2 Mo 1.99-2.01
O 0.4803 0.2260 0.2159  1 Mo 1.75
O 0.8748 0.9310 0.8659  2 Mo 1.93-1.98
O 0.7740 0.5197 0.2841  1 Mo 1.75
O 0.1252 0.0690 0.1341  2 Mo 1.93-1.98
O 0.3411 0.7170 0.3127  1 Mo 1.75
Cs 0.9461 0.6167 0.3334  6 O 3.08-3.44
Cs 0.0539 0.3833 0.6666  6 O 3.08-3.44
Cs 0.6167 0.9461 0.8334  6 O 3.08-3.44
Cs 0.3833 0.0539 0.1666  6 O 3.08-3.44

Calculated values
* E_form: -2.0346 eV/atom
* crystal system: monoclinic

=====

Entry 6:
The following is a GGA+U calculation of a relaxed AlV2O4 crystal, from the Materials Project.

Unit cell a=5.9485 b=5.9792 c=10.2286 alpha=72.82 beta=90.99 gamma=120.58
Closest atoms and distances in Å follow each position.
Positions (direct):
O 0.1267 0.2445 0.6226  1 Al 1.81
O 0.8683 0.7453 0.3781  1 Al 1.79
O 0.1159 0.7375 0.1265  1 Al 1.79
O 0.6182 0.7435 0.1319  1 Al 1.83
O 0.8687 0.7468 0.8714  1 Al 1.81
O 0.3758 0.2433 0.8741  1 Al 1.80
O 0.3836 0.7472 0.3739  1 Al 1.79
O 0.3842 0.2625 0.3735  1 Al 1.79
O 0.3732 0.7555 0.8773  1 Al 1.81
O 0.6317 0.2547 0.1219  1 Al 1.79
O 0.6341 0.7526 0.6272  1 Al 1.80
O 0.8818 0.2565 0.3681  1 Al 1.83
O 0.1165 0.2529 0.1261  1 Al 1.79
O 0.8659 0.2473 0.8728  1 Al 1.80
O 0.6313 0.2532 0.6286  1 Al 1.81
O 0.1242 0.7567 0.6259  1 Al 1.80
V 0.7500 0.0000 0.7500  6 O 2.07-2.12
V 0.2500 0.0001 0.7500  6 O 2.06-2.11
V 0.2500 0.0000 0.2500  6 O 2.14
V 0.7500 0.5000 0.2500  6 O 2.06-2.10
V 0.9970 0.9989 0.9993  6 O 2.12-2.15
V 0.5031 0.0011 0.5007  6 O 2.12-2.15
V 0.7500 0.0000 0.2500  6 O 2.06-2.10
V 0.2500 0.4999 0.7500  6 O 2.12-2.14
Al 0.6881 0.3738 0.9359  4 O 1.79-1.81
Al 0.3043 0.6222 0.0645  4 O 1.79-1.83
Al 0.8119 0.6263 0.5641  4 O 1.79-1.81
Al 0.1957 0.3779 0.4355  4 O 1.79-1.83

Calculated values
* E_form: -2.7569 eV/atom
* crystal system: triclinic
* energy above the lowest structure with this stoichiometry: 8 meV/atom

=====

Entry 7:
The following is a GGA+U calculation of a relaxed TiCo2O6 crystal, from the Materials Project.

Unit cell a=6.4610 b=6.4610 c=5.7605 alpha=76.46 beta=76.46 gamma=26.12
Closest atoms and distances in Å follow each position.
Positions (direct):
Ti 0.0000 0.0000 0.5000  6 O 1.96-1.98
O 0.5140 0.5140 0.2675  1 Co 1.90, 2 Ti 1.96
O 0.8220 0.8220 0.0542  3 Co 1.87-1.92
O 0.4860 0.4860 0.7325  1 Co 1.90, 2 Ti 1.96
O 0.1780 0.1780 0.9458  3 Co 1.87-1.92
O 0.1616 0.1616 0.3833  2 Co 1.91, 1 Ti 1.98
O 0.8384 0.8384 0.6167  2 Co 1.91, 1 Ti 1.98
Co 0.3305 0.3305 0.8337  6 O 1.87-1.92
Co 0.6695 0.6695 0.1663  6 O 1.87-1.92

Calculated values
* E_form: -1.7814 eV/atom
* crystal system: monoclinic

=====

Entry 8:
The following is a GGA+U calculation of a relaxed CaMn2O5 crystal, from the Materials Project.

Unit cell a=3.6910 b=4.6810 c=11.5052 alpha=90.00 beta=90.00 gamma=90.00
Closest atoms and distances in Å follow each position.
Positions (direct):
Ca 0.0000 0.9047 0.5000  8 O 2.45-2.68
Ca 0.5000 0.0953 0.0000  8 O 2.45-2.68
Mn 0.5000 0.4275 0.6537  4 O 1.74-1.92
Mn 0.5000 0.4275 0.3463  4 O 1.74-1.92
Mn 0.0000 0.5725 0.8463  4 O 1.74-1.92
Mn 0.0000 0.5725 0.1537  4 O 1.74-1.92
O 0.0000 0.5254 0.6740  3 Mn 1.92-1.99
O 0.5000 0.0619 0.6249  1 Mn 1.74
O 0.0000 0.9381 0.8751  1 Mn 1.74
O 0.0000 0.5254 0.3260  3 Mn 1.92-1.99
O 0.5000 0.4746 0.8260  3 Mn 1.92-1.99
O 0.5000 0.4746 0.1740  3 Mn 1.92-1.99
O 0.5000 0.0619 0.3751  1 Mn 1.74
O 0.0000 0.9381 0.1249  1 Mn 1.74
O 0.5000 0.5556 0.5000  2 Mn 1.87
O 0.0000 0.4444 0.0000  2 Mn 1.87

Calculated values
* E_form: -2.1001 eV/atom
* crystal system: orthorhombic
* energy above the lowest structure with this stoichiometry: 0 meV/atom